No. 1
84
Lattice="7.3887 0.0000 0.0000 0.0000 8.7298 0.0000 0.0000 0.0000 16.3601" Properties=species:S:1:pos:R:3 comment="PBE Sr3Dy2B4O12, relaxed" spacegroup="No. 33" pbc="T T T"
Sr 0.2145 2.8948 7.4896
Sr 7.1742 5.8350 15.6696
Sr 3.9089 1.4701 7.4896
Sr 3.4798 7.2597 15.6696
Sr 1.3597 7.4138 6.7674
Sr 6.0290 1.3159 14.9474
Sr 5.0541 5.6808 6.7674
Sr 2.3346 3.0489 14.9474
Sr 2.3653 3.1017 10.8586
Sr 5.0234 5.6281 2.6786
Sr 6.0597 1.2632 10.8586
Sr 1.3290 7.4666 2.6786
Dy 2.3429 4.0935 4.7330
Dy 5.0458 4.6363 12.9130
Dy 6.0373 0.2714 4.7330
Dy 1.3514 8.4584 12.9130
Dy 0.1453 2.8600 1.9735
Dy 7.2434 5.8697 10.1535
Dy 3.8396 1.5048 1.9735
Dy 3.5491 7.2249 10.1535
B 1.2231 0.5796 16.3403
B 6.1656 8.1502 8.1602
B 4.9175 3.7853 16.3403
B 2.4712 4.9445 8.1602
B 0.0656 3.2650 12.8374
B 7.3231 5.4647 4.6574
B 3.7600 1.0998 12.8374
B 3.6287 7.6299 4.6574
B 1.2143 0.4028 9.6082
B 6.1744 8.3270 1.4282
B 4.9087 3.9621 9.6082
B 2.4800 4.7676 1.4282
B 1.5760 1.3421 4.6831
B 5.8127 7.3877 12.8631
B 5.2703 3.0228 4.6831
B 2.1184 5.7070 12.8631
O 1.7679 1.9788 3.4551
O 5.6208 6.7510 11.6351
O 5.4623 2.3861 3.4551
O 1.9264 6.3437 11.6351
O 0.7564 1.7030 9.5447
O 6.6323 7.0268 1.3647
O 4.4508 2.6619 9.5447
O 2.9379 6.0678 1.3647
O 0.5998 1.8227 0.0623
O 6.7889 6.9071 8.2424
O 4.2942 2.5422 0.0623
O 3.0945 6.1876 8.2424
O 0.9217 0.1416 4.7800
O 6.4670 8.5881 12.9600
O 4.6160 4.2232 4.7800
O 2.7727 4.5065 12.9600
O 1.4369 4.3399 0.6216
O 5.9518 4.3899 8.8016
O 5.1312 0.0250 0.6216
O 2.2575 8.7047 8.8016
O 0.8335 2.1086 12.7911
O 6.5552 6.6212 4.6110
O 4.5279 2.2563 12.7911
O 2.8608 6.4735 4.6110
O 0.3259 4.7700 3.4977
O 7.0628 3.9597 11.6778
O 4.0203 8.3246 3.4977
O 3.3684 0.4052 11.6778
O 2.0164 2.0286 5.7891
O 5.3723 6.7012 13.9691
O 5.7107 2.3363 5.7891
O 1.6780 6.3935 13.9691
O 2.8503 4.0898 7.1513
O 4.5384 4.6400 15.3313
O 6.5447 0.2751 7.1513
O 0.8440 8.4547 15.3313
O 3.0536 3.8906 2.3546
O 4.3351 4.8392 10.5346
O 6.7480 0.4743 2.3546
O 0.6407 8.2555 10.5346
O 2.2501 0.2904 0.8791
O 5.1386 8.4394 9.0591
O 5.9445 4.0745 0.8791
O 1.4442 4.6553 9.0591
O 0.4443 4.9909 5.8574
O 6.9444 3.7389 14.0374
O 4.1387 8.1037 5.8574
O 3.2500 0.6260 14.0374

No. 2
16
Lattice="-2.6921 2.6921 5.0192 2.6921 -2.6921 5.0192 2.6921 2.6921 -5.0192" Properties=species:S:1:pos:R:3 comment="PBE Cr9FeB6, relaxed" spacegroup="No. 87" pbc="T T T"
Cr 0.9306 3.6039 -1.4838
Cr 1.7615 -0.9117 3.5354
Cr 1.7804 0.9306 -1.4838
Cr 0.9117 1.7615 3.5354
Cr 1.7615 -0.9117 6.5029
Cr 0.9306 3.6039 1.4838
Cr 0.9117 1.7615 6.5029
Cr 1.7804 0.9306 1.4838
Cr 0.0000 0.0000 5.0192
Fe 0.0000 0.0000 0.0000
B -0.6656 2.0694 5.0192
B 3.3577 0.6227 0.0000
B 0.6227 2.0265 0.0000
B 2.0694 0.6656 5.0192
B 0.0000 0.0000 2.5218
B 0.0000 0.0000 7.5165

Energy relative to the elements per entry: -3.369, -0.404 eV/atom